No. 1
Computed, not measured: GdCu4Pd after structural relaxation at the r2SCAN level of DFT.

E_form: -0.321 eV/atom
total moment: 7.51 μB/f.u.
mass density: 9.87 g/cm³

Cell and atoms, written as POSCAR:
```
GdCu4Pd
1.0
4.649 0.253 1.752
1.193 -2.326 4.233
2.923 -4.024 -0.112
Cu Gd Pd
4 1 1
direct
0.626 0.626 0.121 Cu
0.626 0.626 0.626 Cu
0.626 0.121 0.626 Cu
0.121 0.626 0.626 Cu
0.250 0.250 0.250 Gd
0.000 0.000 0.000 Pd
```


No. 2
Computed, not measured: Ge after structural relaxation at the r2SCAN level of DFT.

E_form: 0.165 eV/atom
distance to the lowest polymorph of the same formula: 165.3 meV per atom
total moment: 0.00 μB/f.u.
mass density: 5.70 g/cm³

Cell and atoms, written as POSCAR:
```
Ge
1.0
-3.484 -3.484 3.484
-3.484 3.484 -3.484
3.484 -3.484 -3.484
Ge
8
direct
0.000 0.500 0.701 Ge
0.799 0.799 0.799 Ge
0.201 0.201 0.201 Ge
0.500 0.701 0.000 Ge
0.000 0.500 0.299 Ge
0.299 0.000 0.500 Ge
0.500 0.299 0.000 Ge
0.701 0.000 0.500 Ge
```


No. 3
Computed, not measured: Er2Se3O9 after structural relaxation at the r2SCAN level of DFT.

E_form: -2.070 eV/atom
total moment: 0.00 μB/f.u.
mass density: 5.74 g/cm³

Cell and atoms, written as POSCAR:
```
Er2Se3O9
1.0
-4.020 -5.486 1.391
2.301 -6.684 -3.678
4.022 -5.215 5.950
Er O Se
4 18 6
direct
0.667 0.273 0.410 Er
0.742 0.736 0.796 Er
0.333 0.727 0.590 Er
0.258 0.264 0.204 Er
0.409 0.711 0.851 O
0.652 0.795 0.050 O
0.933 0.309 0.168 O
0.965 0.296 0.450 O
0.348 0.205 0.950 O
0.518 0.594 0.350 O
0.067 0.691 0.832 O
0.169 0.564 0.121 O
0.157 0.011 0.657 O
0.035 0.704 0.550 O
0.591 0.289 0.149 O
0.831 0.436 0.879 O
0.653 0.751 0.561 O
0.843 0.989 0.343 O
0.347 0.249 0.439 O
0.360 0.944 0.306 O
0.640 0.056 0.694 O
0.482 0.406 0.650 O
0.884 0.760 0.410 Se
0.427 0.777 0.196 Se
0.854 0.249 0.034 Se
0.146 0.751 0.966 Se
0.573 0.223 0.804 Se
0.116 0.240 0.590 Se
```


No. 4
Computed, not measured: BaCe2O4 after structural relaxation at the r2SCAN level of DFT.

E_form: -3.445 eV/atom
total moment: 2.00 μB/f.u.
mass density: 6.56 g/cm³

Cell and atoms, written as POSCAR:
```
BaCe2O4
1.0
-1.162 3.440 -0.307
-10.059 -3.455 -0.660
-1.077 0.750 12.494
Ba O Ce
4 16 8
direct
0.750 0.250 0.852 Ba
0.750 0.750 0.648 Ba
0.250 0.750 0.148 Ba
0.250 0.250 0.352 Ba
0.250 0.287 0.674 O
0.750 0.713 0.326 O
0.750 0.213 0.174 O
0.750 0.514 0.784 O
0.250 0.878 0.517 O
0.250 0.787 0.826 O
0.750 0.014 0.716 O
0.250 0.378 0.983 O
0.250 0.069 0.924 O
0.750 0.931 0.076 O
0.750 0.431 0.424 O
0.250 0.986 0.284 O
0.750 0.622 0.017 O
0.250 0.569 0.576 O
0.250 0.486 0.216 O
0.750 0.122 0.483 O
0.750 0.424 0.112 Ce
0.250 0.076 0.612 Ce
0.750 0.920 0.888 Ce
0.250 0.576 0.888 Ce
0.750 0.924 0.388 Ce
0.250 0.580 0.388 Ce
0.750 0.420 0.612 Ce
0.250 0.080 0.112 Ce
```


No. 5
Computed, not measured: ReB2 after structural relaxation at the r2SCAN level of DFT.

E_form: -0.449 eV/atom
total moment: 0.00 μB/f.u.
mass density: 12.62 g/cm³

Cell and atoms, written as POSCAR:
```
ReB2
1.0
2.907 0.000 0.000
-1.453 2.517 0.000
0.000 0.000 7.473
B Re
4 2
direct
0.333 0.667 0.952 B
0.667 0.333 0.048 B
0.667 0.333 0.452 B
0.333 0.667 0.548 B
0.333 0.667 0.250 Re
0.667 0.333 0.750 Re
```


No. 6
Computed, not measured: ReP3 after structural relaxation at the r2SCAN level of DFT.

E_form: -0.403 eV/atom
total moment: 0.00 μB/f.u.
mass density: 7.48 g/cm³

Cell and atoms, written as POSCAR:
```
ReP3
1.0
3.149 0.000 0.000
0.000 5.125 0.000
0.000 0.000 15.366
Re P
4 12
direct
0.750 0.649 0.350 Re
0.750 0.851 0.850 Re
0.250 0.149 0.150 Re
0.250 0.351 0.650 Re
0.250 0.179 0.882 P
0.750 0.478 0.207 P
0.750 0.821 0.118 P
0.250 0.354 0.013 P
0.750 0.854 0.487 P
0.250 0.522 0.793 P
0.250 0.321 0.382 P
0.750 0.022 0.707 P
0.250 0.146 0.513 P
0.250 0.978 0.293 P
0.750 0.679 0.618 P
0.750 0.646 0.987 P
```


No. 7
Computed, not measured: AcNd3 after structural relaxation at the r2SCAN level of DFT.

E_form: 0.037 eV/atom
total moment: 0.00 μB/f.u.
mass density: 7.22 g/cm³

Cell and atoms, written as POSCAR:
```
AcNd3
1.0
3.025 5.728 0.747
-4.418 4.793 -0.147
0.280 -5.529 3.445
Nd Ac
3 1
direct
0.750 0.250 0.500 Nd
0.500 0.500 0.000 Nd
0.250 0.750 0.500 Nd
0.000 0.000 0.000 Ac
```


No. 8
Computed, not measured: Co23B6 after structural relaxation at the r2SCAN level of DFT.

E_form: -0.089 eV/atom
total moment: 35.16 μB/f.u.
mass density: 8.45 g/cm³

Cell and atoms, written as POSCAR:
```
Co23B6
1.0
6.352 0.000 3.667
2.117 5.989 3.667
0.000 0.000 7.335
Co B
23 6
direct
0.659 0.341 0.000 Co
0.000 0.659 0.000 Co
0.000 0.659 0.341 Co
0.341 0.000 0.659 Co
0.380 0.380 0.380 Co
0.000 0.000 0.659 Co
0.620 0.620 0.620 Co
0.659 0.000 0.341 Co
0.000 0.341 0.659 Co
0.380 0.380 0.861 Co
0.861 0.380 0.380 Co
0.250 0.250 0.250 Co
0.000 0.341 0.000 Co
0.000 0.000 0.000 Co
0.380 0.861 0.380 Co
0.139 0.620 0.620 Co
0.000 0.000 0.341 Co
0.341 0.000 0.000 Co
0.750 0.750 0.750 Co
0.620 0.620 0.139 Co
0.620 0.139 0.620 Co
0.341 0.659 0.000 Co
0.659 0.000 0.000 Co
0.276 0.724 0.276 B
0.276 0.724 0.724 B
0.724 0.276 0.276 B
0.724 0.724 0.276 B
0.276 0.276 0.724 B
0.724 0.276 0.724 B
```


No. 9
Computed, not measured: AcMg after structural relaxation at the r2SCAN level of DFT.

E_form: -0.084 eV/atom
total moment: 0.00 μB/f.u.
mass density: 5.93 g/cm³

Cell and atoms, written as POSCAR:
```
AcMg
1.0
2.903 0.000 2.930
0.000 4.135 0.000
-0.032 0.000 5.832
Ac Mg
1 1
direct
0.500 0.000 0.996 Ac
0.500 0.500 0.496 Mg
```


No. 10
Computed, not measured: Y3Al2 after structural relaxation at the r2SCAN level of DFT.

E_form: -0.386 eV/atom
total moment: 0.11 μB/f.u.
mass density: 4.09 g/cm³

Cell and atoms, written as POSCAR:
```
Y3Al2
1.0
-6.840 3.257 -1.249
-1.346 0.286 8.120
3.491 7.453 0.316
Y Al
12 8
direct
0.500 0.701 0.701 Y
0.500 0.847 0.153 Y
0.500 0.299 0.299 Y
0.000 0.653 0.653 Y
0.000 0.347 0.347 Y
0.500 0.153 0.847 Y
0.750 0.500 0.000 Y
0.000 0.201 0.799 Y
0.000 0.799 0.201 Y
0.750 0.000 0.500 Y
0.250 0.000 0.500 Y
0.250 0.500 0.000 Y
0.803 0.882 0.882 Al
0.302 0.618 0.382 Al
0.698 0.382 0.618 Al
0.197 0.882 0.882 Al
0.302 0.382 0.618 Al
0.803 0.118 0.118 Al
0.698 0.618 0.382 Al
0.197 0.118 0.118 Al
```


no.,V (Å³ per atom)
1,14.514
2,21.148
3,14.786
4,17.422
5,9.114
6,15.497
7,37.918
8,9.621
9,35.195
10,26.043